[1]
This record from Materials Project describes a relaxed structure of GaCl2. The functional is PBE-GGA.

Properties
Formation enthalpy at 0 K   -1430 meV per atom
Raw total energy   -3.262 eV per atom

Unit cell a=7.2030 b=9.8849 c=9.9183 alpha=90.00 beta=90.00 gamma=90.00
With the nearest neighbours (Å) after each atom.
Space group Pnna (No. 52)
Inequivalent atoms, fractional coordinates:
1 Ga 0.1733 0.2500 0.2500 [4 per cell]  8 Cl 3.18-3.35
2 Ga 0.2500 0.0000 0.6807 [4 per cell]  4 Cl 2.21
3 Cl 0.0057 0.0404 0.8102 [8 per cell]  1 Ga 2.21
4 Cl 0.1646 0.6750 0.9427 [8 per cell]  1 Ga 2.21


[2]
This record from Materials Project describes a relaxed structure of Ga3Cl7. The functional is PBE-GGA.

Properties
Formation enthalpy at 0 K   -1476 meV per atom
Raw total energy   -3.248 eV per atom

Unit cell a=12.0660 b=9.1157 c=10.7784 alpha=90.00 beta=90.00 gamma=90.00
With the nearest neighbours (Å) after each atom.
Space group Pna2_1 (No. 33)
Inequivalent atoms, fractional coordinates:
1 Ga 0.1094 0.1421 0.0000 [4 per cell]  4 Cl 3.02-3.37
2 Ga 0.1143 0.6177 0.1358 [4 per cell]  4 Cl 2.17-2.35
3 Ga 0.1737 0.0696 0.3755 [4 per cell]  4 Cl 2.17-2.33
4 Cl 0.0059 0.7966 0.1906 [4 per cell]  1 Ga 2.17
5 Cl 0.0161 0.1650 0.3218 [4 per cell]  1 Ga 2.17
6 Cl 0.0334 0.4569 0.0144 [4 per cell]  1 Ga 2.19
7 Cl 0.1548 0.8727 0.4907 [4 per cell]  1 Ga 2.19
8 Cl 0.2110 0.5203 0.2837 [4 per cell]  1 Ga 2.17
9 Cl 0.2160 0.5473 0.7174 [4 per cell]  1 Ga 2.17
10 Cl 0.2427 0.7394 0.0078 [4 per cell]  2 Ga 2.33-2.35


[3]
This record from Materials Project describes a relaxed structure of GaHCl2. The functional is PBE-GGA.

Properties
Formation enthalpy at 0 K   -1038 meV per atom
Raw total energy   -3.261 eV per atom

Unit cell a=6.4466 b=12.3470 c=10.2795 alpha=90.00 beta=92.69 gamma=90.00
With the nearest neighbours (Å) after each atom.
Space group C2/c (No. 15)
Inequivalent atoms, fractional coordinates:
1 Ga 0.1920 0.1343 0.0757 [8 per cell]  1 H 1.53
2 H 0.1390 0.4407 0.8659 [8 per cell]  1 Ga 1.53
3 Cl 0.1419 0.1114 0.4187 [8 per cell]  1 Ga 2.17
4 Cl 0.2441 0.3166 0.1399 [8 per cell]  2 Ga 2.35-2.36